[1]
# Na2PrGeO5 | the Materials Project database | PBE | optimized geometry
data_Na2PrGeO5
_chemical_formula_sum 'Na8 Pr4 Ge4 O20'
_symmetry_space_group_name_H-M 'P n m a'
_symmetry_Int_Tables_number 62
_cell_length_a 9.624
_cell_length_b 7.658
_cell_length_c 6.863
_cell_angle_alpha 90.00
_cell_angle_beta 90.00
_cell_angle_gamma 90.00
loop_
_symmetry_equiv_pos_as_xyz
'x,y,z'
'-x,-y,-z'
'-x+1/2,-y,z+1/2'
'x+1/2,y,-z+1/2'
'x+1/2,-y+1/2,-z+1/2'
'-x+1/2,y+1/2,z+1/2'
'-x,y+1/2,-z'
'x,-y+1/2,z'
loop_
_atom_site_label
_atom_site_fract_x
_atom_site_fract_y
_atom_site_fract_z
_atom_site_occupancy
Na1 0.176 0.034 0.135 1
Pr1 0.043 0.250 0.623 1
Ge1 0.091 0.750 0.822 1
O1 0.023 0.250 0.978 1
O2 0.061 0.568 0.667 1
O3 0.213 0.750 0.279 1
O4 0.232 0.250 0.392 1
# ΔH_f (0 K) in meV/atom: -2408

[2]
# NaPr9Ge6O26 | the Materials Project database | PBE | optimized geometry
data_NaPr9Ge6O26
_chemical_formula_sum 'Na1 Pr9 Ge6 O26'
_symmetry_space_group_name_H-M 'P 3'
_symmetry_Int_Tables_number 143
_cell_length_a 9.9079
_cell_length_b 9.9079
_cell_length_c 7.2467
_cell_angle_alpha 90.00
_cell_angle_beta 90.00
_cell_angle_gamma 120.00
loop_
_symmetry_equiv_pos_as_xyz
'x,y,z'
'-y,x-y,z'
'-x+y,-x,z'
loop_
_atom_site_label
_atom_site_fract_x
_atom_site_fract_y
_atom_site_fract_z
_atom_site_occupancy
Na1 0.0000 0.0000 0.0000 1
Pr1 0.0000 0.0000 0.4924 1
Pr2 0.0959 0.4363 0.7439 1
Pr3 0.1003 0.6738 0.2421 1
Pr4 0.6667 0.3333 0.4932 1
Pr5 0.6667 0.3333 0.9928 1
Ge1 0.3028 0.2640 0.7444 1
Ge2 0.3585 0.0646 0.2440 1
O1 0.0290 0.1852 0.2500 1
O2 0.0877 0.7617 0.5494 1
O3 0.0951 0.7487 0.9289 1
O4 0.2061 0.0598 0.7319 1
O5 0.3333 0.6667 0.2419 1
O6 0.3333 0.6667 0.7335 1
O7 0.4337 0.0148 0.0485 1
O8 0.4382 0.0150 0.4364 1
O9 0.4652 0.2727 0.2423 1
O10 0.5089 0.3486 0.7434 1
# ΔH_f (0 K) in meV/atom: -3101